Entry 1:
{"formula": "Mn2O3F", "functional": "PBE+U", "state": "relaxed", "lattice_angstrom": [[3.341, 4.364, 0.000], [-3.341, 4.364, 0.000], [0.000, 0.427, 8.736]], "species": ["Mn", "Mn", "Mn", "Mn", "Mn", "Mn", "Mn", "Mn", "O", "O", "O", "O", "O", "O", "O", "O", "O", "O", "O", "O", "F", "F", "F", "F"], "frac_coords": [[0.623, 0.627, 0.876], [0.892, 0.857, 0.626], [0.231, 0.270, 0.749], [0.485, 0.515, 0.500], [0.730, 0.769, 0.251], [0.143, 0.108, 0.374], [0.373, 0.377, 0.124], [0.028, 0.972, 0.000], [0.939, 0.558, 0.750], [0.717, 0.728, 0.474], [0.469, 0.474, 0.721], [0.226, 0.218, 0.970], [0.974, 0.973, 0.222], [0.027, 0.026, 0.778], [0.526, 0.531, 0.279], [0.272, 0.283, 0.526], [0.782, 0.774, 0.030], [0.198, 0.802, 0.500], [0.442, 0.061, 0.250], [0.313, 0.687, 0.000], [0.546, 0.966, 0.744], [0.810, 0.190, 0.500], [0.720, 0.280, 0.000], [0.034, 0.454, 0.256]], "de_polymorph_mev_per_atom": 2, "delta_e_f_ev_per_fu": -12.2, "space_group": "C2", "energy_ev_per_cell": -165.833}

=====

Entry 2:
{"formula": "Nd2MnCoO6", "functional": "PBE+U", "state": "relaxed", "lattice_angstrom": [[5.636, 0.000, 0.000], [0.000, 5.452, 0.000], [0.000, 5.451, 7.762]], "species": ["Nd", "Nd", "Nd", "Nd", "Mn", "Mn", "Co", "Co", "O", "O", "O", "O", "O", "O", "O", "O", "O", "O", "O", "O"], "frac_coords": [[0.557, 0.737, 0.750], [0.057, 0.263, 0.750], [0.443, 0.263, 0.250], [0.943, 0.737, 0.250], [0.500, 0.500, 0.500], [0.000, 0.500, 0.000], [0.500, 0.000, 0.000], [0.000, 0.000, 0.500], [0.478, 0.171, 0.743], [0.215, 0.350, 0.453], [0.715, 0.650, 0.047], [0.199, 0.742, 0.045], [0.522, 0.829, 0.257], [0.785, 0.650, 0.547], [0.301, 0.742, 0.545], [0.022, 0.171, 0.243], [0.978, 0.829, 0.757], [0.801, 0.258, 0.955], [0.699, 0.258, 0.455], [0.285, 0.350, 0.953]], "delta_e_f_ev_per_fu": -28.0, "space_group": "P2_1/c", "energy_ev_per_cell": -152.077}

=====

Entry 3:
{"formula": "Li17Co3O12", "functional": "PBE+U", "state": "relaxed", "lattice_angstrom": [[6.590, 0.000, 0.000], [0.007, 8.083, 0.000], [0.015, 0.053, 11.467]], "species": ["Li", "Li", "Li", "Li", "Li", "Li", "Li", "Li", "Li", "Li", "Li", "Li", "Li", "Li", "Li", "Li", "Li", "Li", "Li", "Li", "Li", "Li", "Li", "Li", "Li", "Li", "Li", "Li", "Li", "Li", "Li", "Li", "Li", "Li", "Co", "Co", "Co", "Co", "Co", "Co", "O", "O", "O", "O", "O", "O", "O", "O", "O", "O", "O", "O", "O", "O", "O", "O", "O", "O", "O", "O", "O", "O", "O", "O"], "frac_coords": [[0.033, 0.282, 0.740], [0.031, 0.939, 0.408], [0.036, 0.603, 0.072], [0.030, 0.895, 0.921], [0.026, 0.237, 0.268], [0.250, 0.069, 0.812], [0.269, 0.217, 0.988], [0.226, 0.719, 0.493], [0.245, 0.394, 0.151], [0.247, 0.900, 0.648], [0.251, 0.566, 0.311], [0.482, 0.280, 0.737], [0.466, 0.928, 0.410], [0.468, 0.592, 0.073], [0.472, 0.915, 0.932], [0.467, 0.561, 0.593], [0.479, 0.217, 0.245], [0.537, 0.388, 0.927], [0.529, 0.771, 0.743], [0.540, 0.056, 0.597], [0.533, 0.434, 0.397], [0.539, 0.720, 0.262], [0.751, 0.600, 0.853], [0.726, 0.948, 0.181], [0.744, 0.273, 0.518], [0.771, 0.453, 0.676], [0.750, 0.099, 0.355], [0.748, 0.766, 0.018], [0.974, 0.751, 0.729], [0.976, 0.392, 0.930], [0.965, 0.068, 0.596], [0.969, 0.455, 0.419], [0.960, 0.732, 0.260], [0.954, 0.111, 0.073], [0.253, 0.582, 0.835], [0.253, 0.253, 0.500], [0.253, 0.919, 0.164], [0.753, 0.085, 0.831], [0.753, 0.746, 0.503], [0.754, 0.416, 0.168], [0.018, 0.151, 0.905], [0.007, 0.839, 0.566], [0.013, 0.492, 0.240], [0.254, 0.471, 0.995], [0.252, 0.831, 0.815], [0.252, 0.154, 0.649], [0.246, 0.815, 0.319], [0.262, 0.480, 0.472], [0.231, 0.149, 0.157], [0.485, 0.157, 0.887], [0.480, 0.819, 0.569], [0.483, 0.482, 0.234], [0.494, 0.833, 0.103], [0.518, 0.517, 0.760], [0.503, 0.176, 0.431], [0.750, 0.838, 0.854], [0.764, 0.176, 0.198], [0.729, 0.504, 0.509], [0.754, 0.193, 0.672], [0.745, 0.857, 0.341], [0.752, 0.523, 0.012], [0.987, 0.511, 0.776], [0.994, 0.850, 0.099], [0.996, 0.186, 0.436]], "de_polymorph_mev_per_atom": 0, "delta_e_f_ev_per_fu": -61.6, "space_group": "P1", "energy_ev_per_cell": -323.160}

=====

Entry 4:
{"formula": "MgVMoO5", "functional": "PBE+U", "state": "relaxed", "lattice_angstrom": [[3.776, 0.032, -1.165], [-0.012, 3.816, -0.056], [1.042, -0.057, 6.398]], "species": ["Mg", "V", "Mo", "O", "O", "O", "O", "O"], "frac_coords": [[0.307, 0.492, 0.960], [0.209, 0.041, 0.306], [0.818, 0.985, 0.687], [0.173, 0.992, 0.992], [0.223, 0.499, 0.274], [0.286, 0.000, 0.612], [0.729, 0.998, 0.369], [0.754, 0.492, 0.800]], "de_polymorph_mev_per_atom": 70, "delta_e_f_ev_per_fu": -18.3, "space_group": "P1", "energy_ev_per_cell": -56.213}

=====

Entry 5:
{"formula": "Li3VPCO7", "functional": "PBE+U", "state": "relaxed", "lattice_angstrom": [[-4.210, 1.110, 2.428], [3.191, -1.539, 7.738], [3.884, 12.609, 1.131]], "species": ["Li", "Li", "Li", "Li", "Li", "Li", "Li", "Li", "Li", "Li", "Li", "Li", "V", "V", "V", "V", "P", "P", "P", "P", "C", "C", "C", "C", "O", "O", "O", "O", "O", "O", "O", "O", "O", "O", "O", "O", "O", "O", "O", "O", "O", "O", "O", "O", "O", "O", "O", "O", "O", "O", "O", "O"], "frac_coords": [[0.772, 0.097, 0.872], [0.774, 0.101, 0.370], [0.248, 0.281, 0.481], [0.254, 0.277, 0.758], [0.234, 0.287, 0.264], [0.775, 0.353, 0.134], [0.754, 0.718, 0.022], [0.750, 0.716, 0.733], [0.745, 0.721, 0.509], [0.750, 0.717, 0.235], [0.226, 0.901, 0.622], [0.235, 0.895, 0.130], [0.243, 0.260, 0.008], [0.790, 0.328, 0.624], [0.205, 0.670, 0.875], [0.207, 0.671, 0.375], [0.721, 0.410, 0.877], [0.721, 0.409, 0.373], [0.278, 0.589, 0.625], [0.279, 0.589, 0.126], [0.692, 0.035, 0.626], [0.716, 0.041, 0.117], [0.307, 0.965, 0.375], [0.305, 0.962, 0.874], [0.968, 0.069, 0.113], [0.939, 0.073, 0.627], [0.362, 0.110, 0.878], [0.364, 0.110, 0.374], [0.499, 0.149, 0.628], [0.530, 0.158, 0.116], [0.828, 0.307, 0.466], [0.833, 0.313, 0.969], [0.814, 0.307, 0.785], [0.820, 0.309, 0.282], [0.176, 0.423, 0.628], [0.174, 0.422, 0.130], [0.405, 0.432, 0.376], [0.404, 0.426, 0.885], [0.593, 0.568, 0.624], [0.591, 0.574, 0.125], [0.816, 0.578, 0.871], [0.822, 0.576, 0.374], [0.172, 0.692, 0.534], [0.175, 0.692, 0.716], [0.170, 0.692, 0.216], [0.167, 0.689, 0.033], [0.498, 0.851, 0.872], [0.499, 0.850, 0.377], [0.635, 0.889, 0.624], [0.645, 0.897, 0.125], [0.059, 0.926, 0.873], [0.060, 0.927, 0.374]], "de_polymorph_mev_per_atom": 12, "delta_e_f_ev_per_fu": -31.5, "space_group": "P1", "energy_ev_per_cell": -356.152}

=====

Entry 6:
{"formula": "Li4FeSbW2O12", "functional": "PBE+U", "state": "relaxed", "lattice_angstrom": [[2.759, -2.207, -3.776], [-5.640, -4.803, -1.310], [-4.857, 6.476, -7.313]], "species": ["Li", "Li", "Li", "Li", "Li", "Li", "Li", "Li", "Fe", "Fe", "Sb", "Sb", "W", "W", "W", "W", "O", "O", "O", "O", "O", "O", "O", "O", "O", "O", "O", "O", "O", "O", "O", "O", "O", "O", "O", "O", "O", "O", "O", "O"], "frac_coords": [[0.998, 0.304, 0.782], [0.998, 0.304, 0.282], [0.503, 0.769, 0.541], [0.503, 0.769, 0.041], [0.003, 0.746, 0.757], [0.003, 0.746, 0.257], [0.496, 0.302, 0.041], [0.496, 0.302, 0.541], [0.501, 0.502, 0.755], [0.501, 0.502, 0.255], [0.998, 0.003, 0.001], [0.998, 0.003, 0.501], [0.002, 0.501, 0.001], [0.497, 0.001, 0.252], [0.002, 0.501, 0.500], [0.497, 0.002, 0.752], [0.297, 0.434, 0.404], [0.297, 0.434, 0.905], [0.127, 0.751, 0.495], [0.127, 0.751, 0.995], [0.318, 0.062, 0.591], [0.318, 0.062, 0.091], [0.194, 0.438, 0.647], [0.194, 0.438, 0.147], [0.803, 0.925, 0.652], [0.803, 0.925, 0.152], [0.383, 0.759, 0.741], [0.383, 0.759, 0.241], [0.622, 0.237, 0.743], [0.622, 0.237, 0.243], [0.185, 0.062, 0.839], [0.185, 0.062, 0.339], [0.823, 0.548, 0.844], [0.823, 0.548, 0.344], [0.686, 0.929, 0.902], [0.686, 0.929, 0.402], [0.866, 0.249, 0.994], [0.866, 0.249, 0.494], [0.697, 0.550, 0.090], [0.697, 0.550, 0.590]], "e_ij_max_c_m2": 0.8, "delta_e_f_ev_per_fu": -43.3, "energy_ev_per_cell": -258.880}